(1)
# Ta2Zn3O8

A geometry-optimized Ta2Zn3O8 structure (r2SCAN, Materials Project).

a b c (Å): 6.119 6.119 9.515
angles (deg): 71.40 71.40 86.94
Element x y z (fractional)
O 0.419 0.690 0.909
O 0.985 0.715 0.855
O 0.061 0.859 0.105
O 0.426 0.179 0.855
O 0.821 0.574 0.645
O 0.310 0.581 0.591
O 0.015 0.285 0.145
O 0.574 0.821 0.145
O 0.690 0.419 0.409
O 0.141 0.939 0.395
O 0.285 0.015 0.645
O 0.581 0.310 0.091
O 0.179 0.426 0.355
O 0.939 0.141 0.895
O 0.715 0.985 0.355
O 0.859 0.061 0.605
Zn 0.364 0.319 0.496
Zn 0.761 0.239 0.750
Zn 0.681 0.636 0.004
Zn 0.239 0.761 0.250
Zn 0.636 0.681 0.504
Zn 0.319 0.364 0.996
Ta 0.062 0.776 0.627
Ta 0.224 0.938 0.873
Ta 0.776 0.062 0.127
Ta 0.938 0.224 0.373

## Properties
E_form = -2.439 eV per atom
uncorrected energy = -406.82 eV for the cell shown
SG = C2/c (15)

(2)
# Ho2Ti2O7

A geometry-optimized Ho2Ti2O7 structure (r2SCAN, Materials Project).

a b c (Å): 5.285 7.455 13.052
angles (deg): 81.65 90.00 90.00
Element x y z (fractional)
O 0.455 0.129 0.767
O 0.066 0.859 0.432
O 0.599 0.365 0.383
O 0.099 0.635 0.617
O 0.456 0.486 0.764
O 0.933 0.008 0.821
O 0.353 0.779 0.884
O 0.652 0.728 0.090
O 0.543 0.060 0.976
O 0.853 0.221 0.116
O 0.566 0.141 0.568
O 0.381 0.674 0.304
O 0.431 0.421 0.177
O 0.433 0.992 0.179
O 0.152 0.272 0.910
O 0.589 0.587 0.552
O 0.955 0.871 0.233
O 0.881 0.326 0.696
O 0.540 0.453 0.974
O 0.040 0.547 0.026
O 0.563 0.927 0.408
O 0.931 0.579 0.823
O 0.670 0.828 0.684
O 0.170 0.172 0.316
O 0.043 0.940 0.024
O 0.089 0.413 0.448
O 0.956 0.514 0.236
O 0.063 0.073 0.592
Ti 0.783 0.071 0.679
Ti 0.293 0.410 0.327
Ti 0.767 0.469 0.126
Ti 0.793 0.590 0.673
Ti 0.283 0.929 0.321
Ti 0.768 0.970 0.122
Ti 0.267 0.531 0.874
Ti 0.268 0.030 0.878
Ho 0.357 0.859 0.563
Ho 0.773 0.766 0.924
Ho 0.279 0.355 0.613
Ho 0.747 0.285 0.867
Ho 0.247 0.715 0.133
Ho 0.273 0.234 0.076
Ho 0.857 0.141 0.437
Ho 0.779 0.645 0.387

## Properties
E_form = -3.679 eV per atom
uncorrected energy = -695.66 eV for the cell shown
SG = P2_1 (4)

(3)
# Na2In

A geometry-optimized Na2In structure (r2SCAN, Materials Project).

a b c (Å): 8.151 8.151 11.605
angles (deg): 90.00 90.00 114.67
Element x y z (fractional)
In 0.622 0.727 0.975
In 0.244 0.670 0.872
In 0.727 0.622 0.525
In 0.378 0.273 0.475
In 0.273 0.378 0.025
In 0.756 0.330 0.372
In 0.670 0.244 0.628
In 0.330 0.756 0.128
Na 0.950 0.225 0.833
Na 0.498 0.896 0.420
Na 0.066 0.934 0.000
Na 0.934 0.066 0.500
Na 0.152 0.397 0.293
Na 0.590 0.590 0.250
Na 0.410 0.410 0.750
Na 0.502 0.104 0.920
Na 0.397 0.152 0.207
Na 0.848 0.603 0.793
Na 0.225 0.950 0.667
Na 0.050 0.775 0.333
Na 0.896 0.498 0.080
Na 0.104 0.502 0.580
Na 0.775 0.050 0.167
Na 0.603 0.848 0.707

## Properties
E_form = -0.176 eV per atom
uncorrected energy = -241.88 eV for the cell shown
SG = C222_1 (20)

(4)
# Lu6Ge4O17

A geometry-optimized Lu6Ge4O17 structure (r2SCAN, Materials Project).

a b c (Å): 6.819 10.435 10.843
angles (deg): 68.41 90.00 90.00
Element x y z (fractional)
O 0.278 0.828 0.845
O 0.325 0.137 0.762
O 0.144 0.749 0.372
O 0.421 0.388 0.985
O 0.553 0.985 0.646
O 0.421 0.112 0.015
O 0.856 0.249 0.372
O 0.856 0.251 0.628
O 0.977 0.111 0.901
O 0.846 0.949 0.445
O 0.722 0.328 0.845
O 0.553 0.515 0.354
O 0.722 0.172 0.155
O 0.278 0.672 0.155
O 0.447 0.485 0.646
O 0.023 0.889 0.099
O 0.144 0.751 0.628
O 0.579 0.888 0.985
O 0.528 0.750 0.500
O 0.977 0.389 0.099
O 0.447 0.015 0.354
O 0.113 0.389 0.757
O 0.113 0.111 0.243
O 0.846 0.551 0.555
O 0.154 0.051 0.555
O 0.325 0.363 0.238
O 0.887 0.889 0.757
O 0.023 0.611 0.901
O 0.675 0.637 0.762
O 0.579 0.612 0.015
O 0.154 0.449 0.445
O 0.472 0.250 0.500
O 0.887 0.611 0.243
O 0.675 0.863 0.238
Lu 0.404 0.306 0.831
Lu 0.746 0.475 0.952
Lu 0.163 0.927 0.427
Lu 0.596 0.806 0.831
Lu 0.837 0.427 0.427
Lu 0.163 0.573 0.573
Lu 0.596 0.694 0.169
Lu 0.746 0.025 0.048
Lu 0.404 0.194 0.169
Lu 0.837 0.073 0.573
Lu 0.254 0.975 0.952
Lu 0.254 0.525 0.048
Ge 0.077 0.729 0.224
Ge 0.639 0.897 0.382
Ge 0.361 0.397 0.382
Ge 0.077 0.771 0.776
Ge 0.639 0.603 0.618
Ge 0.923 0.229 0.224
Ge 0.923 0.271 0.776
Ge 0.361 0.103 0.618

## Properties
E_form = -3.127 eV per atom
uncorrected energy = -939.83 eV for the cell shown
SG = P2/c (13)

(5)
# Nb6Ni7

A geometry-optimized Nb6Ni7 structure (r2SCAN, Materials Project).

a b c (Å): 9.217 9.217 9.217
angles (deg): 30.56 30.56 30.56
Element x y z (fractional)
Ni 0.000 0.000 0.000
Ni 0.090 0.090 0.592
Ni 0.910 0.408 0.910
Ni 0.408 0.910 0.910
Ni 0.090 0.592 0.090
Ni 0.910 0.910 0.408
Ni 0.592 0.090 0.090
Nb 0.451 0.451 0.451
Nb 0.831 0.831 0.831
Nb 0.656 0.656 0.656
Nb 0.549 0.549 0.549
Nb 0.169 0.169 0.169
Nb 0.344 0.344 0.344

## Properties
E_form = -0.183 eV per atom
uncorrected energy = -234.65 eV for the cell shown
SG = R-3m (166)

(6)
# Y3CBr3

A geometry-optimized Y3CBr3 structure (r2SCAN, Materials Project).

a b c (Å): 10.703 10.703 10.703
angles (deg): 35.65 35.65 35.65
Element x y z (fractional)
Y 0.954 0.601 0.307
Y 0.693 0.046 0.399
Y 0.399 0.693 0.046
Y 0.046 0.399 0.693
Y 0.307 0.954 0.601
Y 0.601 0.307 0.954
C 0.333 0.333 0.333
C 0.667 0.667 0.667
Br 0.891 0.218 0.566
Br 0.566 0.891 0.218
Br 0.782 0.434 0.109
Br 0.218 0.566 0.891
Br 0.434 0.109 0.782
Br 0.109 0.782 0.434

## Properties
E_form = -1.519 eV per atom
uncorrected energy = -242.59 eV for the cell shown
SG = R-3 (148)

(7)
# Pr2In

A geometry-optimized Pr2In structure (r2SCAN, Materials Project).

a b c (Å): 5.613 5.613 7.002
angles (deg): 90.00 90.00 120.00
Element x y z (fractional)
In 0.667 0.333 0.750
In 0.333 0.667 0.250
Pr 0.667 0.333 0.250
Pr 0.000 0.000 0.500
Pr 0.000 0.000 0.000
Pr 0.333 0.667 0.750

## Properties
E_form = -0.458 eV per atom
uncorrected energy = -165.52 eV for the cell shown
SG = P6_3/mmc (194)

(8)
# Ca2B2O5

A geometry-optimized Ca2B2O5 structure (r2SCAN, Materials Project).

a b c (Å): 5.185 7.187 11.521
angles (deg): 86.72 90.00 90.00
Element x y z (fractional)
Ca 0.064 0.618 0.133
Ca 0.102 0.124 0.165
Ca 0.398 0.124 0.665
Ca 0.936 0.382 0.867
Ca 0.602 0.876 0.335
Ca 0.564 0.382 0.367
Ca 0.898 0.876 0.835
Ca 0.436 0.618 0.633
O 0.580 0.592 0.826
O 0.080 0.408 0.674
O 0.855 0.146 0.343
O 0.592 0.772 0.985
O 0.693 0.893 0.642
O 0.307 0.107 0.358
O 0.679 0.356 0.571
O 0.420 0.408 0.174
O 0.355 0.854 0.157
O 0.908 0.772 0.485
O 0.807 0.893 0.142
O 0.920 0.592 0.326
O 0.193 0.107 0.858
O 0.092 0.228 0.515
O 0.179 0.644 0.929
O 0.145 0.854 0.657
O 0.408 0.228 0.015
O 0.645 0.146 0.843
O 0.321 0.644 0.429
O 0.821 0.356 0.071
B 0.577 0.845 0.096
B 0.937 0.337 0.589
B 0.923 0.845 0.596
B 0.077 0.155 0.404
B 0.063 0.663 0.411
B 0.563 0.337 0.089
B 0.423 0.155 0.904
B 0.437 0.663 0.911

## Properties
E_form = -3.067 eV per atom
offset from the most stable computed form = 5 meV/atom
uncorrected energy = -344.95 eV for the cell shown
SG = P2_1/c (14)